Entry from the Materials Project database: crystalline Cs2PdF6 at its relaxed geometry (r2SCAN).

Results
calculated total energy	-0.461	Ha/atom
SG	Fm-3m, No. 225
total magnetization	0.0	μB/cell
density	4.5	Mg/m³

a b c (Å): 6.331 6.331 6.331
angles (deg): 60.00 60.00 60.00
Fractional coordinates of all 9 atoms:
F1 0.785 0.215 0.785
Cs1 0.750 0.750 0.750
Cs2 0.250 0.250 0.250
F2 0.785 0.785 0.215
F3 0.215 0.785 0.215
Pd1 0.000 0.000 0.000
F4 0.785 0.215 0.215
F5 0.215 0.785 0.785
F6 0.215 0.215 0.785